Record 1
Computed, not measured: an optimized crystal structure of MgBi4O10 at the PBE-GGA level of DFT.

Unit cell a=10.7313 b=6.0479 c=6.0479 alpha=40.16 beta=90.00 gamma=90.00
With the nearest neighbours (Å) after each atom.
Atoms (fractional coordinates):
Mg1 0.0000 0.0000 0.0000  1 O 2.01
Bi1 0.1835 0.7430 0.7430  6 O 2.08-2.23
Bi2 0.3103 0.4742 0.4742  5 O 2.11-2.33
Bi3 0.6897 0.4742 0.4742  5 O 2.11-2.33
Bi4 0.8165 0.7430 0.7430  6 O 2.08-2.23
O1 0.0000 0.8235 0.8235  1 Mg 2.01, 2 Bi 2.17
O2 0.1149 0.5633 0.5633  2 Bi 2.17-2.33
O3 0.1970 0.2899 0.2899  2 Bi 2.15
O4 0.2367 0.9332 0.9332  3 Bi 2.23-2.27
O5 0.3563 0.6602 0.6602  2 Bi 2.08-2.17
O6 0.5000 0.4244 0.4244  2 Bi 2.11
O7 0.6437 0.6602 0.6602  2 Bi 2.08-2.17
O8 0.7633 0.9332 0.9332  3 Bi 2.23-2.27
O9 0.8030 0.2899 0.2899  2 Bi 2.15
O10 0.8851 0.5633 0.5633  2 Bi 2.17-2.33

Calculated values
- offset from the most stable computed form (eV per atom) = 0.0877
- ΔH_f (0 K) (eV per atom) = -1.41
- mass density (g cm⁻³) = 6.7



Record 2
Computed, not measured: an optimized crystal structure of HgPd at the PBE-GGA level of DFT.

Unit cell a=5.3233 b=5.3233 c=5.3233 alpha=90.00 beta=90.00 gamma=90.00
With the nearest neighbours (Å) after each atom.
Atoms (fractional coordinates):
Hg1 0.1564 0.1564 0.1564  7 Pd 2.83-2.87
Hg2 0.3436 0.8436 0.6564  7 Pd 2.83-2.87
Hg3 0.6564 0.3436 0.8436  7 Pd 2.83-2.87
Hg4 0.8436 0.6564 0.3436  7 Pd 2.83-2.87
Pd1 0.1525 0.3475 0.6525  7 Hg 2.83-2.87
Pd2 0.3475 0.6525 0.1525  7 Hg 2.83-2.87
Pd3 0.6525 0.1525 0.3475  7 Hg 2.83-2.87
Pd4 0.8475 0.8475 0.8475  7 Hg 2.83-2.87

Calculated values
- ΔH_f (0 K) (eV per atom) = -0.10
- mass density (g cm⁻³) = 13.5



Record 3
Computed, not measured: an optimized crystal structure of TmTi2Ga4 at the PBE-GGA level of DFT.

Unit cell a=5.4888 b=5.4888 c=5.4888 alpha=104.19 beta=104.19 gamma=120.65
With the nearest neighbours (Å) after each atom.
Atoms (fractional coordinates):
Tm1 0.0000 0.0000 0.0000  4 Ga 2.88
Ti1 0.2500 0.7500 0.5000  2 Ti 2.72, 8 Ga 2.79
Ti2 0.7500 0.2500 0.5000  2 Ti 2.72, 8 Ga 2.79
Ga1 0.3019 0.3019 0.6038  4 Ga 2.67-2.89, 4 Ti 2.79, 1 Tm 2.88
Ga2 0.3019 0.6981 0.0000  4 Ga 2.67-2.89, 4 Ti 2.79, 1 Tm 2.88
Ga3 0.6981 0.3019 0.0000  4 Ga 2.67-2.89, 4 Ti 2.79, 1 Tm 2.88
Ga4 0.6981 0.6981 0.3962  4 Ga 2.67-2.89, 4 Ti 2.79, 1 Tm 2.88

Calculated values
- ΔH_f (0 K) (eV per atom) = -0.53
- mass density (g cm⁻³) = 7.3



Record 4
Computed, not measured: an optimized crystal structure of Sm9Sb5O5 at the PBE-GGA level of DFT.

Unit cell a=10.1150 b=10.1150 c=9.1074 alpha=90.00 beta=90.00 gamma=90.00
With the nearest neighbours (Å) after each atom.
Atoms (fractional coordinates):
Sm1 0.0238 0.3320 0.0014  4 O 2.25-2.51
Sm2 0.0453 0.8540 0.6568  1 O 2.33
Sm3 0.1460 0.5453 0.3432  1 O 2.33
Sm4 0.1680 0.0238 0.0014  4 O 2.25-2.51
Sm5 0.2500 0.2500 0.6700  1 O 2.41
Sm6 0.3320 0.4762 0.0014  4 O 2.25-2.51
Sm7 0.3540 0.9547 0.3432  1 O 2.33
Sm8 0.4547 0.6460 0.6568  1 O 2.33
Sm9 0.4762 0.1680 0.0014  4 O 2.25-2.51
Sm10 0.5238 0.8320 0.9986  4 O 2.25-2.51
Sm11 0.5453 0.3540 0.3432  1 O 2.33
Sm12 0.6460 0.0453 0.6568  1 O 2.33
Sm13 0.6680 0.5238 0.9986  4 O 2.25-2.51
Sm14 0.7500 0.7500 0.3300  1 O 2.41
Sm15 0.8320 0.9762 0.9986  4 O 2.25-2.51
Sm16 0.8540 0.4547 0.6568  1 O 2.33
Sm17 0.9547 0.1460 0.3432  1 O 2.33
Sm18 0.9762 0.6680 0.9986  4 O 2.25-2.51
Sb1 0.0537 0.8463 0.3007  7 Sm 3.21-3.46, 2 O 3.55-3.56
Sb2 0.1537 0.5537 0.6993  7 Sm 3.21-3.46, 2 O 3.55-3.56
Sb3 0.2500 0.2500 0.3162  5 Sm 3.18-3.22, 1 O 3.48
Sb4 0.3463 0.9463 0.6993  7 Sm 3.21-3.46, 2 O 3.55-3.56
Sb5 0.4463 0.6537 0.3007  7 Sm 3.21-3.46, 2 O 3.55-3.56
Sb6 0.5537 0.3463 0.6993  7 Sm 3.21-3.46, 2 O 3.55-3.56
Sb7 0.6537 0.0537 0.3007  7 Sm 3.21-3.46, 2 O 3.55-3.56
Sb8 0.7500 0.7500 0.6838  5 Sm 3.18-3.22, 1 O 3.48
Sb9 0.8463 0.4463 0.3007  7 Sm 3.21-3.46, 2 O 3.55-3.56
Sb10 0.9463 0.1537 0.6993  7 Sm 3.21-3.46, 2 O 3.55-3.56
O1 0.0253 0.8704 0.9114  4 Sm 2.25-2.37
O2 0.1296 0.5253 0.0886  4 Sm 2.25-2.37
O3 0.2500 0.2500 0.9342  5 Sm 2.41-2.51
O4 0.3704 0.9747 0.0886  4 Sm 2.25-2.37
O5 0.4747 0.6296 0.9114  4 Sm 2.25-2.37
O6 0.5253 0.3704 0.0886  4 Sm 2.25-2.37
O7 0.6296 0.0253 0.9114  4 Sm 2.25-2.37
O8 0.7500 0.7500 0.0658  5 Sm 2.41-2.51
O9 0.8704 0.4747 0.9114  4 Sm 2.25-2.37
O10 0.9747 0.1296 0.0886  4 Sm 2.25-2.37

Calculated values
- ΔH_f (0 K) (eV per atom) = -2.34
- mass density (g cm⁻³) = 7.3



Record 5
Computed, not measured: an optimized crystal structure of Cd7Te7Cl8O17 at the PBE-GGA level of DFT.

Unit cell a=14.7966 b=6.8113 c=28.5555 alpha=90.00 beta=90.00 gamma=90.00
With the nearest neighbours (Å) after each atom.
Atoms (fractional coordinates):
Cd1 0.0666 0.1366 0.0737  3 O 2.30-2.57
Cd2 0.0731 0.1037 0.9347  3 O 2.30-2.44
Cd3 0.0739 0.6172 0.0000  3 O 2.24-2.43
Cd4 0.0781 0.6374 0.1365  3 O 2.35-2.41, 1 Cl 2.59
Cd5 0.0899 0.6109 0.8624  4 O 2.29-2.54, 1 Cl 2.54
Cd6 0.0986 0.0962 0.2108  3 O 2.29-2.53
Cd7 0.1107 0.0948 0.7952  2 O 2.28-2.34
Cd8 0.3893 0.0948 0.2952  2 O 2.28-2.34
Cd9 0.4014 0.0962 0.7108  3 O 2.29-2.53
Cd10 0.4101 0.6109 0.3624  4 O 2.29-2.54, 1 Cl 2.54
Cd11 0.4219 0.6374 0.6365  3 O 2.35-2.41, 1 Cl 2.59
Cd12 0.4261 0.6172 0.5000  3 O 2.24-2.43
Cd13 0.4269 0.1037 0.4347  3 O 2.30-2.44
Cd14 0.4334 0.1366 0.5737  3 O 2.30-2.57
Cd15 0.5666 0.8634 0.0737  3 O 2.30-2.57
Cd16 0.5731 0.8963 0.9347  3 O 2.30-2.44
Cd17 0.5739 0.3828 0.0000  3 O 2.24-2.43
Cd18 0.5781 0.3626 0.1365  3 O 2.35-2.41, 1 Cl 2.59
Cd19 0.5899 0.3891 0.8624  4 O 2.29-2.54, 1 Cl 2.54
Cd20 0.5986 0.9038 0.2108  3 O 2.29-2.53
Cd21 0.6107 0.9052 0.7952  2 O 2.28-2.34
Cd22 0.8893 0.9052 0.2952  2 O 2.28-2.34
Cd23 0.9014 0.9038 0.7108  3 O 2.29-2.53
Cd24 0.9101 0.3891 0.3624  4 O 2.29-2.54, 1 Cl 2.54
Cd25 0.9219 0.3626 0.6365  3 O 2.35-2.41, 1 Cl 2.59
Cd26 0.9261 0.3828 0.5000  3 O 2.24-2.43
Cd27 0.9269 0.8963 0.4347  3 O 2.30-2.44
Cd28 0.9334 0.8634 0.5737  3 O 2.30-2.57
Te1 0.0813 0.5718 0.2928  3 O 1.90-2.06
Te2 0.0929 0.5756 0.7092  3 O 1.92-1.96
Te3 0.0956 0.0358 0.3455  2 O 1.89-1.90
Te4 0.1045 0.0263 0.6594  3 O 1.90-2.10
Te5 0.1114 0.5780 0.4261  2 O 1.89-1.90
Te6 0.1188 0.0410 0.5109  3 O 1.90-1.99
Te7 0.1196 0.5102 0.5632  3 O 1.91-2.03
Te8 0.3804 0.5102 0.0632  3 O 1.91-2.03
Te9 0.3812 0.0410 0.0109  3 O 1.90-1.99
Te10 0.3886 0.5780 0.9261  2 O 1.89-1.90
Te11 0.3955 0.0263 0.1594  3 O 1.90-2.10
Te12 0.4044 0.0358 0.8455  2 O 1.89-1.90
Te13 0.4071 0.5756 0.2092  3 O 1.92-1.96
Te14 0.4187 0.5718 0.7928  3 O 1.90-2.06
Te15 0.5813 0.4282 0.2928  3 O 1.90-2.06
Te16 0.5929 0.4244 0.7092  3 O 1.92-1.96
Te17 0.5956 0.9642 0.3455  2 O 1.89-1.90
Te18 0.6045 0.9737 0.6594  3 O 1.90-2.10
Te19 0.6114 0.4220 0.4261  2 O 1.89-1.90
Te20 0.6188 0.9590 0.5109  3 O 1.90-1.99
Te21 0.6196 0.4898 0.5632  3 O 1.91-2.03
Te22 0.8804 0.4898 0.0632  3 O 1.91-2.03
Te23 0.8812 0.9590 0.0109  3 O 1.90-1.99
Te24 0.8886 0.4220 0.9261  2 O 1.89-1.90
Te25 0.8955 0.9737 0.1594  3 O 1.90-2.10
Te26 0.9044 0.9642 0.8455  2 O 1.89-1.90
Te27 0.9071 0.4244 0.2092  3 O 1.92-1.96
Te28 0.9187 0.4282 0.7928  3 O 1.90-2.06
Cl1 0.1621 0.2841 0.0030  3 Cd 2.62-2.66
Cl2 0.1771 0.3103 0.1327  3 Cd 2.63-2.91
Cl3 0.1777 0.8107 0.0655  3 Cd 2.76-2.77
Cl4 0.1870 0.7860 0.9379  3 Cd 2.70-2.85
Cl5 0.1900 0.2818 0.8772  3 Cd 2.68-2.91
Cl6 0.1927 0.7837 0.1953  2 Cd 2.58-2.59
Cl7 0.2039 0.7787 0.8091  2 Cd 2.54-2.59
Cl8 0.2439 0.2628 0.2539  2 Cd 2.71-2.72
Cl9 0.2561 0.2628 0.7539  2 Cd 2.71-2.72
Cl10 0.2961 0.7787 0.3091  2 Cd 2.54-2.59
Cl11 0.3073 0.7837 0.6953  2 Cd 2.58-2.59
Cl12 0.3100 0.2818 0.3772  3 Cd 2.68-2.91
Cl13 0.3130 0.7860 0.4379  3 Cd 2.70-2.85
Cl14 0.3223 0.8107 0.5655  3 Cd 2.76-2.77
Cl15 0.3229 0.3103 0.6327  3 Cd 2.63-2.91
Cl16 0.3379 0.2841 0.5030  3 Cd 2.62-2.66
Cl17 0.6621 0.7159 0.0030  3 Cd 2.62-2.66
Cl18 0.6771 0.6897 0.1327  3 Cd 2.63-2.91
Cl19 0.6777 0.1893 0.0655  3 Cd 2.76-2.77
Cl20 0.6870 0.2140 0.9379  3 Cd 2.70-2.85
Cl21 0.6900 0.7183 0.8772  3 Cd 2.68-2.91
Cl22 0.6927 0.2163 0.1953  2 Cd 2.58-2.59
Cl23 0.7039 0.2213 0.8091  2 Cd 2.54-2.59
Cl24 0.7439 0.7372 0.2539  2 Cd 2.71-2.72
Cl25 0.7561 0.7372 0.7539  2 Cd 2.71-2.72
Cl26 0.7961 0.2213 0.3091  2 Cd 2.54-2.59
Cl27 0.8073 0.2163 0.6953  2 Cd 2.58-2.59
Cl28 0.8100 0.7183 0.3772  3 Cd 2.68-2.91
Cl29 0.8130 0.2140 0.4379  3 Cd 2.70-2.85
Cl30 0.8223 0.1893 0.5655  3 Cd 2.76-2.77
Cl31 0.8229 0.6897 0.6327  3 Cd 2.63-2.91
Cl32 0.8379 0.7159 0.5030  3 Cd 2.62-2.66
O1 0.0049 0.9106 0.9975  1 Te 1.90
O2 0.0085 0.4922 0.0711  1 Te 1.91
O3 0.0117 0.5006 0.9265  1 Te 1.90
O4 0.0187 0.9671 0.1387  1 Te 1.92
O5 0.0265 0.9576 0.8663  1 Te 1.90
O6 0.0344 0.3984 0.2213  1 Te 1.92
O7 0.0465 0.3985 0.7939  1 Te 1.90
O8 0.0669 0.3351 0.3312  2 Te 1.96-2.12
O9 0.0669 0.9488 0.2846  1 Te 1.89
O10 0.0696 0.3425 0.6719  1 Te 1.94
O11 0.0735 0.9613 0.7220  1 Te 1.90
O12 0.0854 0.8374 0.4453  1 Te 1.89
O13 0.0874 0.8283 0.5513  1 Te 1.91
O14 0.0941 0.7107 0.3565  3 Te 2.06-2.24
O15 0.0971 0.7205 0.6501  2 Te 1.96-2.10
O16 0.1157 0.4685 0.4960  2 Te 1.94-2.13
O17 0.1218 0.2121 0.5672  2 Te 1.99-2.03
O18 0.3782 0.2121 0.0672  2 Te 1.99-2.03
O19 0.3843 0.4685 0.9960  2 Te 1.94-2.13
O20 0.4029 0.7205 0.1501  2 Te 1.96-2.10
O21 0.4059 0.7107 0.8565  3 Te 2.06-2.24
O22 0.4126 0.8283 0.0513  1 Te 1.91
O23 0.4146 0.8374 0.9453  1 Te 1.89
O24 0.4265 0.9613 0.2220  1 Te 1.90
O25 0.4304 0.3425 0.1719  1 Te 1.94
O26 0.4331 0.3351 0.8312  2 Te 1.96-2.12
O27 0.4331 0.9488 0.7846  1 Te 1.89
O28 0.4535 0.3985 0.2939  1 Te 1.90
O29 0.4656 0.3984 0.7213  1 Te 1.92
O30 0.4735 0.9576 0.3663  1 Te 1.90
O31 0.4813 0.9671 0.6387  1 Te 1.92
O32 0.4883 0.5006 0.4265  1 Te 1.90
O33 0.4915 0.4922 0.5711  1 Te 1.91
O34 0.4951 0.9106 0.4975  1 Te 1.90
O35 0.5049 0.0894 0.9975  1 Te 1.90
O36 0.5085 0.5078 0.0711  1 Te 1.91
O37 0.5117 0.4994 0.9265  1 Te 1.90
O38 0.5187 0.0329 0.1387  1 Te 1.92
O39 0.5265 0.0424 0.8663  1 Te 1.90
O40 0.5344 0.6016 0.2213  1 Te 1.92
O41 0.5465 0.6015 0.7939  1 Te 1.90
O42 0.5669 0.0512 0.2846  1 Te 1.89
O43 0.5669 0.6649 0.3312  2 Te 1.96-2.12
O44 0.5696 0.6575 0.6719  1 Te 1.94
O45 0.5735 0.0387 0.7220  1 Te 1.90
O46 0.5854 0.1626 0.4453  1 Te 1.89
O47 0.5874 0.1717 0.5513  1 Te 1.91
O48 0.5941 0.2893 0.3565  3 Te 2.06-2.24
O49 0.5971 0.2795 0.6501  2 Te 1.96-2.10
O50 0.6157 0.5315 0.4960  2 Te 1.94-2.13
O51 0.6218 0.7879 0.5672  2 Te 1.99-2.03
O52 0.8782 0.7879 0.0672  2 Te 1.99-2.03
O53 0.8843 0.5315 0.9960  2 Te 1.94-2.13
O54 0.9029 0.2795 0.1501  2 Te 1.96-2.10
O55 0.9059 0.2893 0.8565  3 Te 2.06-2.24
O56 0.9126 0.1717 0.0513  1 Te 1.91
O57 0.9146 0.1626 0.9453  1 Te 1.89
O58 0.9265 0.0387 0.2220  1 Te 1.90
O59 0.9304 0.6575 0.1719  1 Te 1.94
O60 0.9331 0.0512 0.7846  1 Te 1.89
O61 0.9331 0.6649 0.8312  2 Te 1.96-2.12
O62 0.9535 0.6015 0.2939  1 Te 1.90
O63 0.9656 0.6016 0.7213  1 Te 1.92
O64 0.9735 0.0424 0.3663  1 Te 1.90
O65 0.9813 0.0329 0.6387  1 Te 1.92
O66 0.9883 0.4994 0.4265  1 Te 1.90
O67 0.9915 0.5078 0.5711  1 Te 1.91
O68 0.9951 0.0894 0.4975  1 Te 1.90

Calculated values
- ΔH_f (0 K) (eV per atom) = -1.39
- mass density (g cm⁻³) = 5.2